(1)
DFT (PBE-GGA) results for a relaxed structure of SrTa2O7. Values from VASP.

Computed properties:
Spin magnetization   0.000 μB/cell
Crystal system   tetragonal
Offset from the most stable computed form   175 meV/atom

Quantum ESPRESSO input file:
```
&SYSTEM
  ibrav = 0, nat = 10, ntyp = 3
/
ATOMIC_SPECIES
Sr 87.62 Sr.upf
Ta 180.95 Ta.upf
O 16.00 O.upf
ATOMIC_POSITIONS crystal
Sr 0.000 0.000 0.000
Ta 0.500 0.500 0.222
Ta 0.500 0.500 0.778
O 0.000 0.500 0.198
O 0.000 0.500 0.802
O 0.500 0.000 0.198
O 0.500 0.000 0.802
O 0.500 0.500 0.000
O 0.500 0.500 0.427
O 0.500 0.500 0.573
CELL_PARAMETERS angstrom
3.983 0.000 0.000
0.000 3.983 0.000
0.000 0.000 9.251
```

(2)
DFT (PBE-GGA) results for a relaxed structure of Sr20Ta8O39. Values from VASP.

Computed properties:
Spin magnetization   0.343 μB/cell
Uncorrected energy   -518.1 eV/cell
Crystal system   triclinic

Quantum ESPRESSO input file:
```
&SYSTEM
  ibrav = 0, nat = 67, ntyp = 3
/
ATOMIC_SPECIES
Sr 87.62 Sr.upf
Ta 180.95 Ta.upf
O 16.00 O.upf
ATOMIC_POSITIONS crystal
Sr 0.000 0.000 0.000
Sr 0.010 0.977 0.895
Sr 0.152 0.229 0.428
Sr 0.154 0.234 0.235
Sr 0.243 0.467 0.663
Sr 0.273 0.490 0.768
Sr 0.324 0.645 0.877
Sr 0.335 0.671 0.074
Sr 0.462 0.848 0.184
Sr 0.483 0.897 0.293
Sr 0.495 0.952 0.497
Sr 0.583 0.150 0.711
Sr 0.596 0.116 0.606
Sr 0.654 0.317 0.951
Sr 0.691 0.341 0.056
Sr 0.766 0.508 0.165
Sr 0.822 0.570 0.370
Sr 0.851 0.614 0.479
Sr 0.908 0.784 0.588
Sr 0.919 0.823 0.786
Ta 0.134 0.092 0.120
Ta 0.156 0.231 0.331
Ta 0.282 0.368 0.543
Ta 0.329 0.656 0.975
Ta 0.494 0.921 0.399
Ta 0.701 0.233 0.831
Ta 0.803 0.543 0.264
Ta 0.917 0.806 0.687
O 0.006 0.134 0.720
O 0.019 0.178 0.073
O 0.029 0.583 0.010
O 0.035 0.234 0.831
O 0.080 0.632 0.224
O 0.085 0.289 0.590
O 0.094 0.349 0.938
O 0.125 0.995 0.526
O 0.141 0.739 0.725
O 0.166 0.445 0.496
O 0.188 0.810 0.433
O 0.225 0.993 0.652
O 0.234 0.874 0.944
O 0.317 0.054 0.361
O 0.319 0.562 0.369
O 0.350 0.465 0.137
O 0.426 0.440 0.008
O 0.464 0.089 0.119
O 0.497 0.409 0.302
O 0.498 0.157 0.877
O 0.499 0.744 0.558
O 0.548 0.857 0.815
O 0.559 0.963 0.012
O 0.583 0.308 0.784
O 0.595 0.198 0.233
O 0.606 0.659 0.231
O 0.610 0.615 0.720
O 0.614 0.368 0.543
O 0.630 0.732 0.939
O 0.643 0.267 0.429
O 0.683 0.825 0.437
O 0.691 0.867 0.650
O 0.818 0.061 0.363
O 0.821 0.476 0.654
O 0.919 0.608 0.848
O 0.942 0.012 0.167
O 0.969 0.716 0.103
O 0.987 0.397 0.299
O 0.997 0.901 0.293
CELL_PARAMETERS angstrom
5.946 0.000 0.000
-2.962 5.217 0.000
-0.024 -2.354 33.462
```

- The lowest spin magnetization belongs to which entry?
  SrTa2O7